A relaxed structure of LiZr2Se2O2, computed with GGA-PBE.

E (MP2020) ... -7.424 eV per atom
Excess energy over the best structure of this formula in the dataset ... 0.000 eV per atom
Formation energy from the elements ... -1551 kJ/mol of formula units
Total magnetization ... 0.145 μB/atom
Volume ... 119 Å³/cell

Cell: 3.6360 3.6360 9.0203 Å, 90.00 90.00 90.00°
Closest atoms and distances in Å follow each position.
Space group P-4m2 (No. 115)
Unique sites:
Li1 0.0000 0.0000 0.0000 (multiplicity 1)  4 Se 2.58
Zr1 0.0000 0.5000 0.3665 (multiplicity 2)  4 O 2.18
Se1 0.0000 0.5000 0.7965 (multiplicity 2)  2 Li 2.58
O1 0.0000 0.0000 0.5000 (multiplicity 1)  4 Zr 2.18
O2 0.5000 0.5000 0.5000 (multiplicity 1)  4 Zr 2.18